(1)
GaPd: relaxed, meta-GGA r2SCAN.

Lattice parameters (Å, degrees): 4.903 4.903 4.903 90.00 90.00 90.00
Space group P2_13 (No. 198)
Inequivalent atoms, fractional coordinates:
Ga 0.157 0.343 0.657 x4
Pd 0.143 0.143 0.143 x4

Calculated values
- calculated formation energy (meV/atom) = -663
- magnetic moment (μB per formula unit) = 0.00

(2)
NdSO: relaxed, meta-GGA r2SCAN.

Lattice parameters (Å, degrees): 5.853 5.847 12.944 90.00 90.00 90.00
Space group Pbcm (No. 57)
Inequivalent atoms, fractional coordinates:
Nd 0.250 0.000 0.088 x8
S 0.123 0.129 0.750 x4
S 0.376 0.624 0.250 x4
O 0.005 0.750 0.000 x4
O 0.494 0.250 0.000 x4

Calculated values
- calculated formation energy (meV/atom) = -2831
- magnetic moment (μB per formula unit) = 0.00

(3)
RbSbCl6: relaxed, meta-GGA r2SCAN.

Lattice parameters (Å, degrees): 12.121 6.433 12.232 90.00 101.89 90.00
Space group C2/c (No. 15)
Inequivalent atoms, fractional coordinates:
Rb 0.000 0.110 0.250 x4
Sb 0.250 0.250 0.000 x4
Cl 0.077 0.381 0.891 x8
Cl 0.152 0.054 0.539 x8
Cl 0.212 0.416 0.163 x8

Calculated values
- calculated formation energy (meV/atom) = -1197
- magnetic moment (μB per formula unit) = 0.00

(4)
Sr3Ir2O7: relaxed, meta-GGA r2SCAN.

Lattice parameters (Å, degrees): 5.532 21.001 5.531 90.00 90.00 90.00
Space group Ccce (No. 68, origin choice 2)
Inequivalent atoms, fractional coordinates:
Sr 0.000 0.063 0.250 x8
Sr 0.000 0.250 0.250 x4
Ir 0.000 0.153 0.750 x8
O 0.000 0.056 0.750 x8
O 0.000 0.250 0.750 x4
O 0.190 0.154 0.060 x16

Calculated values
- calculated formation energy (meV/atom) = -2010
- magnetic moment (μB per formula unit) = 1.97

(5)
V3Sn: relaxed, meta-GGA r2SCAN.

Lattice parameters (Å, degrees): 4.939 4.939 4.939 90.00 90.00 90.00
Space group Pm-3n (No. 223)
Inequivalent atoms, fractional coordinates:
V 0.000 0.250 0.500 x6
Sn 0.000 0.000 0.000 x2

Calculated values
- calculated formation energy (meV/atom) = -101
- magnetic moment (μB per formula unit) = 0.00

(6)
BaYb2F8: relaxed, meta-GGA r2SCAN.

Lattice parameters (Å, degrees): 6.840 10.343 4.197 90.00 99.10 90.00
Space group C2/m (No. 12)
Inequivalent atoms, fractional coordinates:
Ba 0.000 0.000 0.000 x2
Yb 0.000 0.325 0.500 x4
F 0.000 0.264 0.000 x4
F 0.103 0.500 0.772 x4
F 0.188 0.142 0.560 x8

Calculated values
- calculated formation energy (meV/atom) = -4452
- magnetic moment (μB per formula unit) = 0.00

(7)
NbNiTe5: relaxed, meta-GGA r2SCAN.

Lattice parameters (Å, degrees): 3.710 13.823 15.148 90.00 90.00 90.00
Space group Cmcm (No. 63)
Inequivalent atoms, fractional coordinates:
Nb 0.000 0.009 0.250 x4
Ni 0.000 0.500 0.000 x4
Te 0.000 0.100 0.075 x8
Te 0.000 0.335 0.750 x4
Te 0.000 0.401 0.144 x8

Calculated values
- calculated formation energy (meV/atom) = -368
- magnetic moment (μB per formula unit) = 0.00

(8)
PbSe2: relaxed, meta-GGA r2SCAN.

Lattice parameters (Å, degrees): 6.477 6.477 7.804 90.00 90.00 90.00
Space group I4/mcm (No. 140)
Inequivalent atoms, fractional coordinates:
Pb 0.000 0.000 0.250 x4
Se 0.130 0.370 0.000 x8

Calculated values
- calculated formation energy (meV/atom) = -405
- magnetic moment (μB per formula unit) = 0.00

(9)
Dy2Ru2O7: relaxed, meta-GGA r2SCAN.

Lattice parameters (Å, degrees): 10.150 10.150 10.150 90.00 90.00 90.00
Space group Fd-3m (No. 227, origin choice 2)
Inequivalent atoms, fractional coordinates:
Dy 0.000 0.000 0.000 x16
Ru 0.000 0.000 0.500 x16
O 0.087 0.375 0.875 x48
O 0.125 0.125 0.125 x8

Calculated values
- calculated formation energy (meV/atom) = -2480
- magnetic moment (μB per formula unit) = 4.00

Look up the calculated formation energy of the eighth one. -405 meV/atom

Please write out number 5 again, unchanged.
V3Sn: relaxed, meta-GGA r2SCAN.

Lattice parameters (Å, degrees): 4.939 4.939 4.939 90.00 90.00 90.00
Space group Pm-3n (No. 223)
Inequivalent atoms, fractional coordinates:
V 0.000 0.250 0.500 x6
Sn 0.000 0.000 0.000 x2

Calculated values
- calculated formation energy (meV/atom) = -101
- magnetic moment (μB per formula unit) = 0.00

Look up the calculated formation energy of the ninth one. -2480 meV/atom